1.
{
  "formula": "CeThB12",
  "functional": "r²SCAN",
  "state": "optimized geometry",
  "cell": [[4.116, 0.000, 0.000], [0.000, 4.116, 0.000], [0.000, 0.000, 8.234]],
  "species": ["B", "B", "B", "B", "B", "B", "B", "B", "B", "B", "B", "B", "Th", "Ce"],
  "fractional_positions": [[0.802, 0.500, 0.250], [0.500, 0.500, 0.599], [0.802, 0.500, 0.750], [0.198, 0.500, 0.750], [0.500, 0.198, 0.250], [0.500, 0.802, 0.250], [0.500, 0.198, 0.750], [0.500, 0.802, 0.750], [0.500, 0.500, 0.401], [0.500, 0.500, 0.901], [0.500, 0.500, 0.099], [0.198, 0.500, 0.250], [0.000, 0.000, 0.500], [0.000, 0.000, 0.000]],
  "m_tot_mub_per_fu": 1.01,
  "formation_energy_kj_per_mol_fu": -753.4
}

***

2.
{
  "formula": "BCl3",
  "functional": "r²SCAN",
  "state": "optimized geometry",
  "cell": [[-0.624, -0.197, 6.148], [-3.257, -3.862, -3.563], [4.908, -4.467, 0.355]],
  "species": ["Cl", "Cl", "Cl", "Cl", "Cl", "Cl", "B", "B"],
  "fractional_positions": [[0.316, 0.939, 0.250], [0.377, 0.316, 0.750], [0.623, 0.684, 0.250], [0.939, 0.623, 0.750], [0.684, 0.061, 0.750], [0.061, 0.377, 0.250], [0.333, 0.667, 0.250], [0.667, 0.333, 0.750]],
  "m_tot_mub_per_fu": 0.00,
  "formation_energy_kj_per_mol_fu": -402.4
}

***

3.
{
  "formula": "Er4BClO7",
  "functional": "r²SCAN",
  "state": "optimized geometry",
  "cell": [[7.926, 0.000, 0.000], [0.000, 8.451, -0.040], [0.000, 5.932, 10.472]],
  "species": ["O", "O", "O", "O", "O", "O", "O", "O", "O", "O", "O", "O", "O", "O", "O", "O", "O", "O", "O", "O", "O", "O", "O", "O", "O", "O", "O", "O", "B", "B", "B", "B", "Cl", "Cl", "Cl", "Cl", "Er", "Er", "Er", "Er", "Er", "Er", "Er", "Er", "Er", "Er", "Er", "Er", "Er", "Er", "Er", "Er"],
  "fractional_positions": [[0.621, 0.425, 0.093], [0.209, 0.113, 0.134], [0.379, 0.575, 0.907], [0.503, 0.060, 0.167], [0.391, 0.227, 0.956], [0.883, 0.680, 0.218], [0.109, 0.227, 0.456], [0.879, 0.425, 0.593], [0.378, 0.460, 0.597], [0.878, 0.540, 0.903], [0.383, 0.320, 0.282], [0.997, 0.060, 0.667], [0.638, 0.311, 0.772], [0.709, 0.887, 0.366], [0.622, 0.540, 0.403], [0.362, 0.689, 0.228], [0.791, 0.887, 0.866], [0.891, 0.773, 0.544], [0.121, 0.575, 0.407], [0.497, 0.940, 0.833], [0.003, 0.940, 0.333], [0.291, 0.113, 0.634], [0.862, 0.311, 0.272], [0.617, 0.680, 0.718], [0.122, 0.460, 0.097], [0.117, 0.320, 0.782], [0.609, 0.773, 0.044], [0.138, 0.689, 0.728], [0.869, 0.870, 0.414], [0.131, 0.130, 0.586], [0.369, 0.130, 0.086], [0.631, 0.870, 0.914], [0.153, 0.881, 0.969], [0.347, 0.881, 0.469], [0.653, 0.119, 0.531], [0.847, 0.119, 0.031], [0.617, 0.426, 0.908], [0.383, 0.574, 0.092], [0.114, 0.818, 0.221], [0.614, 0.182, 0.279], [0.624, 0.796, 0.222], [0.883, 0.426, 0.408], [0.386, 0.818, 0.721], [0.876, 0.796, 0.722], [0.360, 0.432, 0.419], [0.376, 0.204, 0.778], [0.860, 0.568, 0.081], [0.117, 0.574, 0.592], [0.640, 0.568, 0.581], [0.140, 0.432, 0.919], [0.886, 0.182, 0.779], [0.124, 0.204, 0.278]],
  "m_tot_mub_per_fu": 0.00,
  "formation_energy_kj_per_mol_fu": -4575.8
}

***

4.
{
  "formula": "La4B4Cl5",
  "functional": "r²SCAN",
  "state": "optimized geometry",
  "cell": [[-0.243, 3.857, 1.821], [-8.069, 0.469, 2.943], [-1.223, -1.862, 8.793]],
  "species": ["La", "La", "La", "La", "Cl", "Cl", "Cl", "Cl", "Cl", "B", "B", "B", "B"],
  "fractional_positions": [[0.437, 0.329, 0.797], [0.160, 0.918, 0.761], [0.840, 0.082, 0.239], [0.563, 0.671, 0.203], [0.246, 0.356, 0.152], [0.352, 0.849, 0.448], [0.754, 0.644, 0.848], [0.000, 0.500, 0.500], [0.648, 0.151, 0.552], [0.684, 0.000, 0.000], [0.024, 0.875, 0.076], [0.976, 0.125, 0.924], [0.316, 0.000, 0.000]],
  "m_tot_mub_per_fu": 0.00,
  "formation_energy_kj_per_mol_fu": -2157.2
}

***

| no. | final energy (eV per atom) |
| --- | --- |
| 1 | -14.31 |
| 2 | -7.49 |
| 3 | -18.34 |
| 4 | -15.50 |